#one
This record from Materials Project describes a relaxed structure of Li10SnP2S12. The functional is PBE-GGA.

Unit cell a=8.6653 b=8.9496 c=13.1419 alpha=92.00 beta=90.61 gamma=90.08
Space group P1 (No. 1)
Unique sites:
1 Li 0.0000 0.0000 0.0000 [1 per cell]
2 Li 0.0011 0.5314 0.8861 [1 per cell]
3 Li 0.0103 0.9858 0.2826 [1 per cell]
4 Li 0.0140 0.4926 0.1185 [1 per cell]
5 Li 0.0147 0.5338 0.6388 [1 per cell]
6 Li 0.0319 0.0602 0.7908 [1 per cell]
7 Li 0.2314 0.2877 0.3841 [1 per cell]
8 Li 0.2664 0.7692 0.6854 [1 per cell]
9 Li 0.2808 0.7369 0.1806 [1 per cell]
10 Li 0.5060 0.0305 0.4908 [1 per cell]
11 Li 0.5096 0.0337 0.7642 [1 per cell]
12 Li 0.5118 0.5208 0.9164 [1 per cell]
13 Li 0.5182 0.5340 0.6416 [1 per cell]
14 Li 0.5231 0.9917 0.9854 [1 per cell]
15 Li 0.5350 0.5001 0.3216 [1 per cell]
16 Li 0.5538 0.9884 0.2586 [1 per cell]
17 Li 0.7334 0.2903 0.0610 [1 per cell]
18 Li 0.7587 0.2903 0.5832 [1 per cell]
19 Li 0.9835 0.5894 0.3863 [1 per cell]
20 Li 0.9899 0.0317 0.5530 [1 per cell]
21 Sn 0.2801 0.7625 0.4484 [1 per cell]
22 Sn 0.7660 0.2627 0.8165 [1 per cell]
23 P 0.2577 0.7821 0.9438 [1 per cell]
24 P 0.2621 0.2884 0.6261 [1 per cell]
25 P 0.7631 0.7380 0.1349 [1 per cell]
26 P 0.7785 0.2557 0.3174 [1 per cell]
27 S 0.0418 0.7611 0.5437 [1 per cell]
28 S 0.0637 0.8042 0.8531 [1 per cell]
29 S 0.0668 0.3035 0.5351 [1 per cell]
30 S 0.2544 0.5751 0.0075 [1 per cell]
31 S 0.2568 0.0844 0.6921 [1 per cell]
32 S 0.2603 0.5530 0.3277 [1 per cell]
33 S 0.2650 0.4668 0.7290 [1 per cell]
34 S 0.2653 0.9495 0.0551 [1 per cell]
35 S 0.2889 0.9870 0.3488 [1 per cell]
36 S 0.4530 0.3031 0.5341 [1 per cell]
37 S 0.4540 0.7887 0.8553 [1 per cell]
38 S 0.4960 0.7748 0.5629 [1 per cell]
39 S 0.5353 0.2379 0.9132 [1 per cell]
40 S 0.5721 0.7191 0.2228 [1 per cell]
41 S 0.5869 0.2640 0.2233 [1 per cell]
42 S 0.7583 0.9476 0.0769 [1 per cell]
43 S 0.7629 0.4343 0.4202 [1 per cell]
44 S 0.7711 0.4963 0.7309 [1 per cell]
45 S 0.7728 0.0558 0.3930 [1 per cell]
46 S 0.7748 0.5674 0.0242 [1 per cell]
47 S 0.7774 0.0582 0.6917 [1 per cell]
48 S 0.9640 0.7205 0.2210 [1 per cell]
49 S 0.9799 0.2589 0.2351 [1 per cell]
50 S 0.9836 0.2506 0.9315 [1 per cell]

Summary:
V: 20.370 Å³/atom

---

#two
This record from Materials Project describes a relaxed structure of Li10SnP2S12. The functional is PBE-GGA.

Unit cell a=8.8542 b=8.8542 c=12.8513 alpha=90.00 beta=90.00 gamma=90.00
Space group P4_2mc (No. 105)
Unique sites:
1 Li 0.0000 0.0000 0.0000 [2 per cell]
2 Li 0.2246 0.2447 0.4891 [8 per cell]
3 Li 0.2281 0.2737 0.7456 [8 per cell]
4 Li 0.5000 0.5000 0.3915 [2 per cell]
5 Sn 0.0000 0.0000 0.2526 [2 per cell]
6 P 0.0000 0.5000 0.9549 [2 per cell]
7 P 0.5000 0.5000 0.1369 [2 per cell]
8 S 0.0000 0.2209 0.6438 [4 per cell]
9 S 0.0000 0.2226 0.3614 [4 per cell]
10 S 0.0000 0.3106 0.0469 [4 per cell]
11 S 0.1932 0.5000 0.8643 [4 per cell]
12 S 0.3070 0.5000 0.5459 [4 per cell]
13 S 0.3099 0.5000 0.2283 [4 per cell]

Summary:
V: 20.150 Å³/atom

---

In order of decreasing stability: #one, #two.